--- a ---
Crystalline MgNb4Co2O12 at its relaxed geometry, computed with PBE+U.

Properties
The calculation puts the spin magnetization at 6.00 μB/f.u.

a b c (Å): 9.073 5.790 5.889
angles (deg): 75.29 58.86 59.32
Fractional positions:
O 0.126 0.310 0.325
O 0.848 0.221 0.788
O 0.169 0.817 0.188
O 0.493 0.182 0.794
O 0.478 0.272 0.276
O 0.816 0.287 0.298
O 0.496 0.801 0.206
O 0.836 0.785 0.209
O 0.854 0.718 0.695
O 0.200 0.717 0.698
O 0.174 0.185 0.825
O 0.535 0.699 0.700
Nb 0.308 0.036 0.062
Nb 0.007 0.969 0.980
Nb 0.688 0.996 0.965
Nb 0.810 0.495 0.510
Co 0.161 0.546 0.484
Co 0.507 0.453 0.493
Mg 0.409 0.000 0.513

---

--- b ---
Crystalline MgNb4Co2O12 at its relaxed geometry, computed with PBE+U.

Properties
The calculation puts the spin magnetization at 4.00 μB/f.u.

a b c (Å): 5.108 4.978 8.802
angles (deg): 90.00 90.00 89.91
Fractional positions:
O 0.166 0.805 0.821
O 0.834 0.195 0.821
O 0.806 0.236 0.145
O 0.680 0.748 0.651
O 0.680 0.748 0.990
O 0.320 0.252 0.651
O 0.670 0.693 0.320
O 0.330 0.307 0.320
O 0.807 0.237 0.497
O 0.194 0.764 0.145
O 0.320 0.252 0.990
O 0.193 0.763 0.497
Nb 0.500 0.500 0.493
Nb 0.500 0.500 0.146
Nb 0.000 0.000 0.008
Nb 0.000 0.000 0.633
Co 0.000 0.000 0.320
Co 0.500 0.500 0.821
Mg 0.500 0.000 0.820

---

The calculated energies rank the structures as follows, beginning with the most stable: b, a.

---

--- a ---
Crystalline CaV2O4 at its relaxed geometry, computed with PBE+U.

a b c (Å): 5.245 6.046 11.184
angles (deg): 90.54 90.13 90.76
Fractional positions:
V 0.007 0.003 0.000
V 0.995 0.999 0.501
V 0.495 0.251 0.990
V 0.487 0.249 0.511
V 0.995 0.499 0.499
V 0.511 0.748 0.011
V 0.504 0.750 0.489
V 0.006 0.500 0.999
O 0.190 0.747 0.911
O 0.348 0.496 0.104
O 0.151 0.255 0.598
O 0.850 0.750 0.097
O 0.657 0.498 0.604
O 0.331 0.008 0.397
O 0.669 0.504 0.895
O 0.660 0.991 0.603
O 0.815 0.245 0.412
O 0.177 0.751 0.589
O 0.161 0.251 0.900
O 0.329 0.004 0.104
O 0.336 0.501 0.395
O 0.839 0.744 0.401
O 0.670 0.997 0.901
O 0.819 0.260 0.089
Ca 0.531 0.252 0.251
Ca 0.469 0.742 0.750
Ca 0.846 0.253 0.750
Ca 0.152 0.751 0.250

---

--- b ---
Crystalline CaV2O4 at its relaxed geometry, computed with PBE+U.

Properties
The calculation puts the spin magnetization at 4.00 μB/f.u.

a b c (Å): 6.174 6.174 6.371
angles (deg): 118.99 118.98 90.00
Fractional positions:
Ca 0.625 0.375 0.250
Ca 0.375 0.625 0.750
O 0.803 0.771 0.042
O 0.762 0.229 0.958
O 0.238 0.771 0.042
O 0.771 0.238 0.542
O 0.229 0.197 0.458
O 0.229 0.762 0.458
O 0.197 0.229 0.958
O 0.771 0.803 0.542
V 0.000 0.000 0.500
V 0.000 0.000 0.000
V 0.500 0.000 0.500
V 0.000 0.500 0.000

---

The calculated energies rank the structures as follows, beginning with the most stable: a, b.

---

--- a ---
Crystalline Li2Fe3SnO8 at its relaxed geometry, computed with PBE+U.

Properties
The calculation puts the spin magnetization at 14.00 μB/f.u.

a b c (Å): 5.989 5.989 9.848
angles (deg): 90.00 90.00 120.00
Fractional positions:
O 0.333 0.667 0.107
O 0.162 0.324 0.598
O 0.162 0.838 0.598
O 0.000 0.000 0.808
O 0.838 0.162 0.098
O 0.667 0.333 0.607
O 0.838 0.676 0.098
O 0.000 0.000 0.308
O 0.676 0.838 0.598
O 0.516 0.484 0.839
O 0.484 0.516 0.339
O 0.031 0.516 0.339
O 0.484 0.969 0.339
O 0.324 0.162 0.098
O 0.516 0.031 0.839
O 0.969 0.484 0.839
Sn 0.333 0.667 0.490
Sn 0.667 0.333 0.990
Fe 0.171 0.829 0.213
Fe 0.829 0.171 0.713
Fe 0.829 0.657 0.713
Fe 0.343 0.171 0.713
Fe 0.657 0.829 0.213
Fe 0.171 0.343 0.213
Li 0.000 0.000 0.993
Li 0.000 0.000 0.493
Li 0.673 0.333 0.398
Li 0.333 0.660 0.898

---

--- b ---
Crystalline Li2Fe3SnO8 at its relaxed geometry, computed with PBE+U.

Properties
The calculation puts the spin magnetization at 0.00 μB/f.u.

a b c (Å): 6.005 6.005 10.744
angles (deg): 73.96 73.96 60.18
Fractional positions:
O 0.132 0.132 0.603
O 0.868 0.868 0.397
O 0.399 0.859 0.884
O 0.641 0.641 0.617
O 0.859 0.859 0.883
O 0.601 0.141 0.116
O 0.368 0.368 0.897
O 0.141 0.141 0.117
O 0.141 0.601 0.116
O 0.859 0.399 0.884
O 0.359 0.359 0.383
O 0.101 0.641 0.616
O 0.641 0.101 0.616
O 0.359 0.899 0.384
O 0.632 0.632 0.103
O 0.899 0.359 0.384
Fe 0.000 0.000 0.500
Fe 0.500 0.000 0.500
Fe 0.000 0.500 0.500
Fe 0.500 0.500 0.000
Fe 0.500 0.000 0.000
Fe 0.000 0.500 0.000
Sn 0.750 0.750 0.750
Sn 0.250 0.250 0.250
Li 0.062 0.062 0.814
Li 0.938 0.938 0.186
Li 0.438 0.438 0.686
Li 0.562 0.562 0.314

---

The calculated energies rank the structures as follows, beginning with the most stable: a, b.